No. 1
This record from Materials Project describes ZnS after structural relaxation. The functional is r²SCAN.

## Properties
ΔE_f = -962 meV per atom
total DFT energy (no corrections) = -9.435 eV/atom

Unit cell a=3.8071 b=3.8071 c=56.0580 alpha=90.00 beta=90.00 gamma=120.00
Closest atoms and distances in Å follow each position.
Space group P3m1 (No. 156)
Unique sites:
Zn (0.0000, 0.0000, 0.0000) x1  4 S 2.33
Zn (0.0000, 0.0000, 0.1112) x1  4 S 2.33
Zn (0.0000, 0.0000, 0.3334) x1  4 S 2.33
Zn (0.0000, 0.0000, 0.5000) x1  4 S 2.33
Zn (0.0000, 0.0000, 0.6667) x1  4 S 2.33-2.34
Zn (0.0000, 0.0000, 0.8333) x1  4 S 2.33-2.34
Zn (0.3333, 0.6667, 0.0555) x1  4 S 2.33-2.34
Zn (0.3333, 0.6667, 0.2223) x1  4 S 2.33-2.34
Zn (0.3333, 0.6667, 0.3889) x1  4 S 2.33
Zn (0.3333, 0.6667, 0.5555) x1  4 S 2.33
Zn (0.3333, 0.6667, 0.7778) x1  4 S 2.33
Zn (0.3333, 0.6667, 0.8889) x1  4 S 2.33
Zn (0.6667, 0.3333, 0.1667) x1  4 S 2.33
Zn (0.6667, 0.3333, 0.2778) x1  4 S 2.33
Zn (0.6667, 0.3333, 0.4445) x1  4 S 2.33
Zn (0.6667, 0.3333, 0.6111) x1  4 S 2.33
Zn (0.6667, 0.3333, 0.7223) x1  4 S 2.33
Zn (0.6667, 0.3333, 0.9445) x1  4 S 2.33
S (0.0000, 0.0000, 0.0416) x1  4 Zn 2.33
S (0.0000, 0.0000, 0.1528) x1  4 Zn 2.33
S (0.0000, 0.0000, 0.3750) x1  4 Zn 2.33
S (0.0000, 0.0000, 0.5416) x1  4 Zn 2.33
S (0.0000, 0.0000, 0.7084) x1  4 Zn 2.33-2.34
S (0.0000, 0.0000, 0.8750) x1  4 Zn 2.33-2.34
S (0.3333, 0.6667, 0.0972) x1  4 Zn 2.33-2.34
S (0.3333, 0.6667, 0.2639) x1  4 Zn 2.33-2.34
S (0.3333, 0.6667, 0.4305) x1  4 Zn 2.33
S (0.3333, 0.6667, 0.5972) x1  4 Zn 2.33
S (0.3333, 0.6667, 0.8194) x1  4 Zn 2.33
S (0.3333, 0.6667, 0.9305) x1  4 Zn 2.33
S (0.6667, 0.3333, 0.2083) x1  4 Zn 2.33
S (0.6667, 0.3333, 0.3194) x1  4 Zn 2.33
S (0.6667, 0.3333, 0.4861) x1  4 Zn 2.33
S (0.6667, 0.3333, 0.6527) x1  4 Zn 2.33
S (0.6667, 0.3333, 0.7639) x1  4 Zn 2.33
S (0.6667, 0.3333, 0.9861) x1  4 Zn 2.33

***

No. 2
This record from Materials Project describes ZnS after structural relaxation. The functional is r²SCAN.

## Properties
ΔE_f = -960 meV per atom
total DFT energy (no corrections) = -9.432 eV/atom

Unit cell a=3.8058 b=3.8058 c=6.2380 alpha=90.00 beta=90.00 gamma=120.00
Closest atoms and distances in Å follow each position.
Space group P6_3mc (No. 186)
Unique sites:
Zn (0.3333, 0.6667, 0.0000) x2  4 S 2.33-2.34
S (0.3333, 0.6667, 0.3747) x2  4 Zn 2.33-2.34

***

No. 3
This record from Materials Project describes ZnS after structural relaxation. The functional is r²SCAN.

## Properties
ΔE_f = -962 meV per atom
total DFT energy (no corrections) = -9.435 eV/atom

Unit cell a=3.8091 b=3.8091 c=74.7394 alpha=90.00 beta=90.00 gamma=120.00
Closest atoms and distances in Å follow each position.
Space group P3m1 (No. 156)
Unique sites:
Zn (0.0000, 0.0000, 0.0000) x1  4 S 2.33
Zn (0.0000, 0.0000, 0.0834) x1  4 S 2.33
Zn (0.0000, 0.0000, 0.2083) x1  4 S 2.33
Zn (0.0000, 0.0000, 0.2917) x1  4 S 2.33
Zn (0.0000, 0.0000, 0.4167) x1  4 S 2.33
Zn (0.0000, 0.0000, 0.5834) x1  4 S 2.33
Zn (0.0000, 0.0000, 0.7500) x1  4 S 2.33
Zn (0.0000, 0.0000, 0.8750) x1  4 S 2.33
Zn (0.3333, 0.6667, 0.0417) x1  4 S 2.33-2.34
Zn (0.3333, 0.6667, 0.1667) x1  4 S 2.33
Zn (0.3333, 0.6667, 0.3334) x1  4 S 2.33
Zn (0.3333, 0.6667, 0.4583) x1  4 S 2.33
Zn (0.3333, 0.6667, 0.5417) x1  4 S 2.33
Zn (0.3333, 0.6667, 0.6667) x1  4 S 2.33-2.34
Zn (0.3333, 0.6667, 0.7917) x1  4 S 2.33
Zn (0.3333, 0.6667, 0.9167) x1  4 S 2.33
Zn (0.6667, 0.3333, 0.1250) x1  4 S 2.33
Zn (0.6667, 0.3333, 0.2500) x1  4 S 2.33-2.34
Zn (0.6667, 0.3333, 0.3750) x1  4 S 2.33
Zn (0.6667, 0.3333, 0.5000) x1  4 S 2.33-2.34
Zn (0.6667, 0.3333, 0.6250) x1  4 S 2.33
Zn (0.6667, 0.3333, 0.7084) x1  4 S 2.33
Zn (0.6667, 0.3333, 0.8334) x1  4 S 2.33
Zn (0.6667, 0.3333, 0.9584) x1  4 S 2.33
S (0.0000, 0.0000, 0.0312) x1  4 Zn 2.33
S (0.0000, 0.0000, 0.1146) x1  4 Zn 2.33
S (0.0000, 0.0000, 0.2396) x1  4 Zn 2.33
S (0.0000, 0.0000, 0.3229) x1  4 Zn 2.33
S (0.0000, 0.0000, 0.4479) x1  4 Zn 2.33
S (0.0000, 0.0000, 0.6146) x1  4 Zn 2.33
S (0.0000, 0.0000, 0.7812) x1  4 Zn 2.33
S (0.0000, 0.0000, 0.9062) x1  4 Zn 2.33
S (0.3333, 0.6667, 0.0729) x1  4 Zn 2.33-2.34
S (0.3333, 0.6667, 0.1979) x1  4 Zn 2.33
S (0.3333, 0.6667, 0.3646) x1  4 Zn 2.33
S (0.3333, 0.6667, 0.4895) x1  4 Zn 2.33
S (0.3333, 0.6667, 0.5729) x1  4 Zn 2.33
S (0.3333, 0.6667, 0.6979) x1  4 Zn 2.33-2.34
S (0.3333, 0.6667, 0.8229) x1  4 Zn 2.33
S (0.3333, 0.6667, 0.9479) x1  4 Zn 2.33
S (0.6667, 0.3333, 0.1562) x1  4 Zn 2.33
S (0.6667, 0.3333, 0.2813) x1  4 Zn 2.33-2.34
S (0.6667, 0.3333, 0.4062) x1  4 Zn 2.33
S (0.6667, 0.3333, 0.5313) x1  4 Zn 2.33-2.34
S (0.6667, 0.3333, 0.6562) x1  4 Zn 2.33
S (0.6667, 0.3333, 0.7396) x1  4 Zn 2.33
S (0.6667, 0.3333, 0.8646) x1  4 Zn 2.33
S (0.6667, 0.3333, 0.9896) x1  4 Zn 2.33

***

No. 4
This record from Materials Project describes ZnS after structural relaxation. The functional is r²SCAN.

## Properties
ΔE_f = -962 meV per atom
total DFT energy (no corrections) = -9.434 eV/atom

Unit cell a=3.8083 b=3.8083 c=56.0307 alpha=90.00 beta=90.00 gamma=120.00
Closest atoms and distances in Å follow each position.
Space group R3m (No. 160, hexagonal axes)
Unique sites:
Zn (0.0000, 0.0000, 0.0000) x3  4 S 2.33
Zn (0.0000, 0.0000, 0.1111) x3  4 S 2.33
Zn (0.0000, 0.0000, 0.2223) x3  4 S 2.33
Zn (0.0000, 0.0000, 0.3889) x3  4 S 2.33-2.34
Zn (0.0000, 0.0000, 0.6111) x3  4 S 2.33
Zn (0.0000, 0.0000, 0.8334) x3  4 S 2.33-2.34
S (0.0000, 0.0000, 0.0695) x3  4 Zn 2.33
S (0.0000, 0.0000, 0.1806) x3  4 Zn 2.33
S (0.0000, 0.0000, 0.3472) x3  4 Zn 2.33-2.34
S (0.0000, 0.0000, 0.5695) x3  4 Zn 2.33
S (0.0000, 0.0000, 0.7917) x3  4 Zn 2.33-2.34
S (0.0000, 0.0000, 0.9584) x3  4 Zn 2.33

***

No. 5
This record from Materials Project describes ZnS after structural relaxation. The functional is r²SCAN.

## Properties
ΔE_f = -963 meV per atom
total DFT energy (no corrections) = -9.435 eV/atom

Unit cell a=5.3874 b=5.3874 c=5.3874 alpha=90.00 beta=90.00 gamma=90.00
Closest atoms and distances in Å follow each position.
Space group F-43m (No. 216)
Unique sites:
Zn (0.0000, 0.0000, 0.0000) x4  4 S 2.33
S (0.2500, 0.2500, 0.2500) x4  4 Zn 2.33

***

No. 6
This record from Materials Project describes ZnS after structural relaxation. The functional is r²SCAN.

## Properties
ΔE_f = -962 meV per atom
total DFT energy (no corrections) = -9.435 eV/atom

Unit cell a=3.8075 b=3.8075 c=43.5957 alpha=90.00 beta=90.00 gamma=120.00
Closest atoms and distances in Å follow each position.
Space group P6_3mc (No. 186)
Unique sites:
Zn (0.0000, 0.0000, 0.0000) x2  4 S 2.33
Zn (0.0000, 0.0000, 0.2143) x2  4 S 2.33
Zn (0.3333, 0.6667, 0.0714) x2  4 S 2.33
Zn (0.3333, 0.6667, 0.2857) x2  4 S 2.33
Zn (0.3333, 0.6667, 0.4286) x2  4 S 2.33
Zn (0.3333, 0.6667, 0.6429) x2  4 S 2.33
Zn (0.3333, 0.6667, 0.8571) x2  4 S 2.33-2.34
S (0.0000, 0.0000, 0.0535) x2  4 Zn 2.33
S (0.0000, 0.0000, 0.2678) x2  4 Zn 2.33
S (0.3333, 0.6667, 0.1250) x2  4 Zn 2.33
S (0.3333, 0.6667, 0.3392) x2  4 Zn 2.33
S (0.3333, 0.6667, 0.4821) x2  4 Zn 2.33
S (0.3333, 0.6667, 0.6964) x2  4 Zn 2.33
S (0.3333, 0.6667, 0.9107) x2  4 Zn 2.33-2.34